[1]
{
  "formula": "PbN",
  "functional": "PBE",
  "state": "relaxed",
  "lattice": [[3.7858, 0.0000, 0.0000], [-1.8929, 3.2786, 0.0000], [0.0000, 0.0000, 6.5590]],
  "species": ["Pb", "Pb", "N", "N"],
  "fractional_positions": [[0.3333, 0.6667, 0.0000], [0.6667, 0.3333, 0.5000], [0.3333, 0.6667, 0.6343], [0.6667, 0.3333, 0.1343]],
  "ef_kj_per_mol_fu": 128,
  "energy_ev_per_cell": -20.730,
  "space_group": "No. 186"
}

---

[2]
{
  "formula": "RePb3N3",
  "functional": "PBE",
  "state": "relaxed",
  "lattice": [[7.0766, 0.0000, 0.0000], [0.0000, 5.8240, 0.0000], [-3.4136, 0.0000, 7.5319]],
  "species": ["Re", "Re", "Pb", "Pb", "Pb", "Pb", "Pb", "Pb", "N", "N", "N", "N", "N", "N"],
  "fractional_positions": [[0.1198, 0.2500, 0.2211], [0.8802, 0.7500, 0.7789], [0.1544, 0.2500, 0.7940], [0.3351, 0.7500, 0.2017], [0.3413, 0.7500, 0.6891], [0.6587, 0.2500, 0.3109], [0.6649, 0.2500, 0.7983], [0.8456, 0.7500, 0.2060], [0.1706, 0.7500, 0.8806], [0.2340, 0.2500, 0.4526], [0.3077, 0.2500, 0.1144], [0.6923, 0.7500, 0.8856], [0.7660, 0.7500, 0.5474], [0.8294, 0.2500, 0.1194]],
  "ef_kj_per_mol_fu": 174,
  "energy_ev_per_cell": -91.411,
  "space_group": "No. 11"
}

---

[3]
{
  "formula": "Re3Pb3N5",
  "functional": "PBE",
  "state": "relaxed",
  "lattice": [[6.2375, 0.0000, 0.0000], [-0.5879, 7.6531, 0.0000], [-0.8324, -2.5071, 7.9324]],
  "species": ["Re", "Re", "Re", "Re", "Re", "Re", "Pb", "Pb", "Pb", "Pb", "Pb", "Pb", "N", "N", "N", "N", "N", "N", "N", "N", "N", "N"],
  "fractional_positions": [[0.0645, 0.4348, 0.2082], [0.0940, 0.1631, 0.5103], [0.3535, 0.5424, 0.8964], [0.6465, 0.4576, 0.1036], [0.9060, 0.8369, 0.4897], [0.9355, 0.5652, 0.7918], [0.2500, 0.0432, 0.9339], [0.3127, 0.8562, 0.2749], [0.4411, 0.7148, 0.6003], [0.5589, 0.2852, 0.3997], [0.6873, 0.1438, 0.7251], [0.7500, 0.9568, 0.0661], [0.1171, 0.3238, 0.3658], [0.1439, 0.3772, 0.7174], [0.1500, 0.7276, 0.9714], [0.1800, 0.9655, 0.6177], [0.3256, 0.4492, 0.0961], [0.6744, 0.5508, 0.9039], [0.8200, 0.0345, 0.3823], [0.8500, 0.2724, 0.0286], [0.8561, 0.6228, 0.2826], [0.8829, 0.6762, 0.6342]],
  "ef_kj_per_mol_fu": 186,
  "energy_ev_per_cell": -172.838,
  "space_group": "No. 2"
}

---

[4]
{
  "formula": "Re2Pb3N4",
  "functional": "PBE",
  "state": "relaxed",
  "lattice": [[7.8378, 0.0000, 0.0000], [0.0000, 8.8591, 0.0000], [0.0000, 0.0000, 10.7499]],
  "species": ["Re", "Re", "Re", "Re", "Re", "Re", "Re", "Re", "Pb", "Pb", "Pb", "Pb", "Pb", "Pb", "Pb", "Pb", "Pb", "Pb", "Pb", "Pb", "N", "N", "N", "N", "N", "N", "N", "N", "N", "N", "N", "N", "N", "N", "N", "N"],
  "fractional_positions": [[0.1566, 0.2500, 0.2500], [0.2500, 0.0000, 0.1399], [0.2500, 0.5000, 0.3601], [0.3434, 0.7500, 0.2500], [0.6566, 0.2500, 0.7500], [0.7500, 0.0000, 0.8601], [0.7500, 0.5000, 0.6399], [0.8434, 0.7500, 0.7500], [0.0644, 0.1366, 0.5965], [0.0644, 0.3634, 0.9035], [0.2500, 0.0000, 0.8592], [0.2500, 0.5000, 0.6408], [0.4356, 0.6366, 0.9035], [0.4356, 0.8634, 0.5965], [0.5644, 0.1366, 0.4035], [0.5644, 0.3634, 0.0965], [0.7500, 0.0000, 0.1408], [0.7500, 0.5000, 0.3592], [0.9356, 0.6366, 0.0965], [0.9356, 0.8634, 0.4035], [0.0585, 0.0416, 0.2464], [0.0585, 0.4584, 0.2536], [0.1964, 0.7252, 0.3859], [0.1964, 0.7748, 0.1141], [0.3036, 0.2252, 0.1141], [0.3036, 0.2748, 0.3859], [0.4415, 0.5416, 0.2536], [0.4415, 0.9584, 0.2464], [0.5585, 0.0416, 0.7536], [0.5585, 0.4584, 0.7464], [0.6964, 0.7252, 0.6141], [0.6964, 0.7748, 0.8859], [0.8036, 0.2252, 0.8859], [0.8036, 0.2748, 0.6141], [0.9415, 0.5416, 0.7464], [0.9415, 0.9584, 0.7536]],
  "ef_kj_per_mol_fu": 186,
  "energy_ev_per_cell": -263.999,
  "space_group": "No. 52"
}

---

[5]
{
  "formula": "PbS2N2",
  "functional": "PBE",
  "state": "relaxed",
  "lattice": [[6.4198, 0.0000, 0.0000], [0.0000, 17.3202, 0.0000], [-0.3597, 0.0000, 5.4683]],
  "species": ["Pb", "Pb", "Pb", "Pb", "S", "S", "S", "S", "S", "S", "S", "S", "N", "N", "N", "N", "N", "N", "N", "N"],
  "fractional_positions": [[0.2447, 0.0579, 0.3563], [0.2447, 0.4421, 0.8563], [0.7553, 0.5579, 0.1437], [0.7553, 0.9421, 0.6437], [0.3456, 0.5446, 0.2718], [0.3456, 0.9554, 0.7718], [0.3728, 0.6798, 0.9812], [0.3728, 0.8202, 0.4812], [0.6272, 0.1798, 0.5188], [0.6272, 0.3202, 0.0188], [0.6544, 0.0446, 0.2282], [0.6544, 0.4554, 0.7282], [0.2312, 0.6222, 0.1253], [0.2312, 0.8778, 0.6253], [0.3960, 0.1637, 0.5353], [0.3960, 0.3363, 0.0353], [0.6040, 0.6637, 0.9647], [0.6040, 0.8363, 0.4647], [0.7688, 0.1222, 0.3747], [0.7688, 0.3778, 0.8747]],
  "ef_kj_per_mol_fu": 95,
  "energy_ev_per_cell": -107.801,
  "e_above_lowest_polymorph_mev_per_atom": 71.5,
  "space_group": "No. 14"
}

---

[6]
{
  "formula": "PbS2N2",
  "functional": "PBE",
  "state": "relaxed",
  "lattice": [[4.4646, 0.0000, 0.0000], [0.0000, 7.8353, 0.0000], [0.0000, 0.0000, 12.5708]],
  "species": ["Pb", "Pb", "Pb", "Pb", "S", "S", "S", "S", "S", "S", "S", "S", "N", "N", "N", "N", "N", "N", "N", "N"],
  "fractional_positions": [[0.1224, 0.1457, 0.1209], [0.3776, 0.8543, 0.6209], [0.6224, 0.3543, 0.8791], [0.8776, 0.6457, 0.3791], [0.0659, 0.5965, 0.7261], [0.1172, 0.5751, 0.0584], [0.3828, 0.4249, 0.5584], [0.4341, 0.4035, 0.2261], [0.5659, 0.9035, 0.2739], [0.6172, 0.9249, 0.9416], [0.8828, 0.0751, 0.4416], [0.9341, 0.0965, 0.7739], [0.0123, 0.3967, 0.0192], [0.1728, 0.4207, 0.6590], [0.3272, 0.5793, 0.1590], [0.4877, 0.6033, 0.5192], [0.5123, 0.1033, 0.9808], [0.6728, 0.0793, 0.3410], [0.8272, 0.9207, 0.8410], [0.9877, 0.8967, 0.4808]],
  "ef_kj_per_mol_fu": 61,
  "energy_ev_per_cell": -109.231,
  "e_above_lowest_polymorph_mev_per_atom": 0.0,
  "space_group": "No. 19"
}